Record 1
Compound: Pr5Mg
Source: Materials Project
Functional: PBE-GGA
Structure: relaxed

Summary:
Volume in Å³/cell: 204.4
Polymorph energy (0 for the lowest one) in meV per atom: 0.0
Formation energy from the elements in eV per atom: 0.00

Structure (extended XYZ):
```
6
Lattice="-3.681 -3.956 4.227 1.957 -6.189 2.220 1.738 -1.434 6.480" Properties=species:S:1:pos:R:3 pbc="T T T"
Pr 2.066 -6.605 5.730
Pr 0.005 -3.934 4.392
Pr -0.073 -4.052 8.019
Pr -1.973 -6.711 5.640
Pr 0.009 -7.645 8.535
Mg 0.000 0.000 0.000
```

Record 2
Compound: HoCo4B
Source: Materials Project
Functional: PBE-GGA
Structure: relaxed

Summary:
Volume in Å³/cell: 147.8
Formation energy from the elements in eV per atom: -0.31

Structure (extended XYZ):
```
12
Lattice="-2.495 -4.322 0.000 -2.495 4.322 0.000 0.000 0.000 -6.854" Properties=species:S:1:pos:R:3 pbc="T T T"
Co -2.495 1.441 -3.427
Co -2.495 -1.441 -3.427
Co -2.495 0.000 -5.399
Co -1.248 2.161 -1.455
Co -1.248 -2.161 -5.399
Co -1.248 -2.161 -1.455
Co -1.248 2.161 -5.399
Co -2.495 0.000 -1.455
B -2.495 -1.441 0.000
B -2.495 1.441 0.000
Ho 0.000 0.000 0.000
Ho 0.000 0.000 -3.427
```

Record 3
Compound: Li2In2GeS6
Source: Materials Project
Functional: PBE-GGA
Structure: relaxed

Summary:
Volume in Å³/cell: 518.2
Formation energy from the elements in eV per atom: -1.03

Structure (extended XYZ):
```
22
Lattice="3.611 6.194 0.000 -3.611 6.194 0.000 0.000 4.245 11.583" Properties=species:S:1:pos:R:3 pbc="T T T"
S -0.110 13.130 9.596
S 0.110 11.008 3.804
S -1.837 8.107 5.702
S 0.138 4.966 3.524
S -1.883 3.993 0.706
S -2.014 8.008 1.409
S 1.883 6.115 6.498
S -0.138 7.089 9.316
S -1.842 10.074 9.363
S 1.842 7.951 3.572
S 2.014 10.131 7.201
S 1.837 10.230 11.494
In -2.936 7.259 3.620
In 2.936 9.382 9.412
In 0.534 4.093 5.869
In -0.534 1.970 0.077
Li -0.729 6.214 0.044
Li -1.462 10.507 1.847
Li 1.462 12.630 7.638
Li 0.729 8.336 5.836
Ge 1.924 10.066 2.916
Ge -1.924 12.189 8.707
```

Record 4
Compound: BaSr2Tm6O12
Source: Materials Project
Functional: PBE-GGA
Structure: relaxed

Summary:
Volume in Å³/cell: 312.0
Formation energy from the elements in eV per atom: -3.77

Structure (extended XYZ):
```
21
Lattice="-0.557 2.813 -1.842 7.785 4.691 4.808 1.740 -5.308 -8.633" Properties=species:S:1:pos:R:3 pbc="T T T"
O 2.176 2.947 -0.888
O 4.604 1.029 -1.397
O 2.100 -3.131 -6.992
O 6.814 5.238 1.208
O 4.188 -0.679 -7.032
O 6.944 -0.715 -4.770
O 7.531 2.276 -0.380
O 1.803 0.030 -2.076
O 7.065 2.218 -3.479
O 1.461 -0.070 -5.277
O 4.363 1.151 -4.291
O 4.757 2.878 1.380
Tm 0.716 -1.345 -7.000
Tm 6.086 0.304 -2.953
Tm 2.565 2.327 1.201
Tm 6.388 -0.145 -6.883
Tm 8.241 3.552 1.355
Tm 2.907 1.893 -2.717
Sr 3.616 -1.272 -4.613
Sr 5.352 3.467 -1.053
Ba -0.418 2.109 -1.381
```

Record 5
Compound: CeBi2Au
Source: Materials Project
Functional: PBE-GGA
Structure: relaxed

Summary:
Volume in Å³/cell: 219.7
Formation energy from the elements in eV per atom: -0.56

Structure (extended XYZ):
```
8
Lattice="4.704 0.000 0.000 0.000 4.704 0.000 0.000 0.000 9.925" Properties=species:S:1:pos:R:3 pbc="T T T"
Bi 0.000 2.352 1.955
Bi 0.000 0.000 4.962
Bi 2.352 2.352 4.962
Bi 2.352 0.000 7.970
Au 0.000 0.000 0.000
Au 2.352 2.352 0.000
Ce 0.000 2.352 7.630
Ce 2.352 0.000 2.295
```

Record 6
Compound: Na5Cu3As4HO16
Source: Materials Project
Functional: PBE-GGA
Structure: relaxed

Summary:
Volume in Å³/cell: 378.6
Formation energy from the elements in eV per atom: -1.70

Structure (extended XYZ):
```
29
Lattice="-5.393 -0.003 -0.031 -2.334 7.394 -3.853 -0.048 -0.037 -9.474" Properties=species:S:1:pos:R:3 pbc="T T T"
O -2.704 3.687 -9.615
O -4.377 1.174 -4.758
O -0.165 0.056 -2.353
O -5.386 6.275 -4.151
O -5.841 2.410 -10.679
O -7.609 7.297 -11.004
O -5.116 2.669 -7.059
O -1.724 1.457 -5.535
O -2.658 4.685 -6.299
O -6.050 5.896 -7.823
O -1.934 4.944 -2.678
O -2.388 1.079 -9.207
O -5.070 3.667 -3.743
O -2.901 1.898 -2.447
O -4.873 5.455 -10.911
O -3.398 6.180 -8.600
Na -5.076 4.742 -5.940
Na 0.000 0.000 0.000
Na -2.669 3.330 -4.252
Na -2.699 2.612 -7.418
Na -5.105 4.024 -9.106
Cu -2.684 5.493 -10.402
Cu -2.720 -0.020 -4.752
Cu -5.091 1.861 -2.955
As -2.175 2.261 -10.482
As -5.599 5.092 -2.876
As -2.293 6.078 -7.213
As -5.481 1.276 -6.144
H -2.696 -0.001 -0.015
```

Record 7
Compound: SrAlIn
Source: Materials Project
Functional: PBE-GGA
Structure: relaxed

Summary:
Volume in Å³/cell: 166.7
Formation energy from the elements in eV per atom: -0.34

Structure (extended XYZ):
```
6
Lattice="2.484 5.745 0.000 -2.484 5.745 0.000 0.000 5.518 5.840" Properties=species:S:1:pos:R:3 pbc="T T T"
In 0.000 3.393 1.535
In 0.000 13.616 4.305
Al 0.000 6.758 5.298
Al 0.000 10.252 0.542
Sr 0.000 6.854 1.733
Sr 0.000 10.155 4.107
```

Record 8
Compound: PrCu9Sn4
Source: Materials Project
Functional: PBE-GGA
Structure: relaxed

Summary:
Volume in Å³/cell: 491.8
Formation energy from the elements in eV per atom: 0.00

Structure (extended XYZ):
```
28
Lattice="5.387 -4.223 5.452 -1.031 6.956 5.208 -7.240 -4.212 -2.532" Properties=species:S:1:pos:R:3 pbc="T T T"
Cu -2.832 -2.395 -0.134
Cu -1.569 -1.603 2.957
Cu -4.019 3.017 3.221
Cu -0.053 0.917 8.262
Cu 1.134 -4.496 4.907
Cu 2.629 -2.118 4.135
Cu -1.691 2.837 4.181
Cu -3.784 1.661 5.338
Cu -1.316 0.124 5.172
Cu -4.136 1.372 1.338
Cu 3.891 -1.325 7.225
Cu -0.927 -4.217 1.460
Cu 0.900 -3.140 2.790
Cu -2.693 0.706 3.272
Cu -5.514 0.639 3.993
Cu -0.192 -2.185 4.856
Cu -1.194 -4.316 3.947
Cu -6.776 -0.153 0.903
Sn -4.302 -1.119 2.045
Sn -1.803 -6.473 2.396
Sn -1.082 4.994 5.732
Sn 1.418 -0.360 6.084
Sn -3.334 -3.807 2.338
Sn -1.888 0.238 0.710
Sn -0.997 -1.717 7.418
Sn 0.449 2.329 5.790
Pr 3.267 2.050 7.996
Pr 1.089 0.683 2.665
```

Record 9
Compound: Cs2Ca2S3O12
Source: Materials Project
Functional: PBE-GGA
Structure: relaxed

Summary:
Volume in Å³/cell: 1278.3
Formation energy from the elements in eV per atom: -2.54

Structure (extended XYZ):
```
76
Lattice="-0.972 6.503 8.634 -3.033 -8.485 6.049 10.375 -1.871 2.577" Properties=species:S:1:pos:R:3 pbc="T T T"
Cs 2.351 -6.163 11.080
Cs 2.109 0.703 12.702
Cs 0.302 -0.183 0.819
Cs 7.978 -2.062 9.919
Cs 5.950 -2.774 5.259
Cs 2.067 2.296 7.824
Cs -0.479 -4.080 7.340
Cs 5.203 -3.147 14.097
O 2.098 -0.741 9.902
O 2.524 -3.063 12.160
O 8.851 -2.238 6.754
O 0.553 1.932 3.142
O 3.252 -1.907 3.817
O -0.921 -5.261 10.573
O 2.826 -3.411 6.519
O 3.479 3.246 10.848
O 4.028 -0.310 6.767
O 5.304 0.316 13.894
O 0.050 -2.063 9.741
O 7.812 2.434 9.273
O -0.177 -6.946 5.717
O -2.197 -5.888 4.927
O 2.917 -8.425 8.961
O 0.076 -2.048 4.958
O 5.446 -3.919 10.890
O 4.658 -4.673 7.458
O 6.407 -0.045 7.071
O 8.092 -4.425 7.433
O -0.013 0.376 9.535
O -1.005 1.159 12.547
O 3.178 -1.307 1.450
O 1.754 0.883 4.993
O -2.067 -1.005 12.151
O 5.097 -7.986 7.949
O 2.425 -5.664 7.287
O 2.844 -3.928 8.915
O 9.214 0.538 8.637
O 5.389 -6.106 11.918
O 7.432 -4.753 11.977
O 4.891 -0.795 11.792
O 7.441 -1.782 2.286
O 0.917 -0.978 7.767
O 7.959 -0.379 4.179
O -0.095 -6.907 9.014
O -1.059 3.259 8.320
O 0.196 -3.418 12.832
O 6.722 -5.759 9.900
O 5.180 -1.452 8.605
O 1.997 -4.473 14.046
O 4.834 0.966 8.652
O 5.841 1.461 11.837
O -0.174 4.604 6.523
O -1.010 -2.271 2.781
O 7.174 -0.471 12.517
O 1.694 -2.045 14.188
O 1.066 3.205 10.843
Ca 2.133 -1.290 5.779
Ca -1.464 -3.066 11.219
Ca 6.483 -6.132 7.601
Ca -1.066 2.272 10.462
Ca 3.815 -2.307 10.337
Ca 1.333 -7.753 7.339
Ca 8.659 0.083 6.383
Ca 5.589 2.783 9.921
S 9.123 1.767 9.469
S 4.332 -8.871 8.863
S -1.170 -1.813 4.187
S 3.226 -2.427 2.427
S 5.815 0.134 12.501
S -1.839 0.079 13.139
S 0.767 -0.861 9.250
S 5.114 -0.210 7.790
S 1.828 1.892 3.907
S 6.241 -5.148 11.164
S 1.591 -3.238 13.307
S 3.199 -4.420 7.557
```

Record 10
Compound: P2H4PbO4
Source: Materials Project
Functional: PBE-GGA
Structure: relaxed

Summary:
Volume in Å³/cell: 294.2
Formation energy from the elements in eV per atom: -1.34

Structure (extended XYZ):
```
22
Lattice="3.050 7.965 0.000 -3.050 7.965 0.000 0.000 0.343 6.057" Properties=species:S:1:pos:R:3 pbc="T T T"
H 0.783 11.351 5.163
H 0.783 5.093 3.922
H 0.721 12.986 2.470
H -0.783 11.180 2.134
H 0.721 3.115 0.559
H -0.721 13.158 5.498
H -0.783 4.921 0.894
H -0.721 3.287 3.587
O -0.593 6.675 2.524
O -2.460 6.616 0.685
O -0.593 9.426 0.504
O 0.593 6.847 5.552
O 0.593 9.598 3.533
O 2.460 6.788 3.714
O -2.460 9.485 2.343
O 2.460 9.656 5.371
P 1.538 6.028 4.671
P 1.538 10.416 4.415
P -1.538 5.857 1.642
P -1.538 10.244 1.386
Pb 1.527 8.050 1.514
Pb -1.527 8.222 4.543
```

Record 11
Compound: Zr5Bi3
Source: Materials Project
Functional: PBE-GGA
Structure: relaxed

Summary:
Volume in Å³/cell: 389.4
Formation energy from the elements in eV per atom: -0.30

Structure (extended XYZ):
```
16
Lattice="0.000 0.000 -5.896 -4.366 -7.562 0.000 -4.366 7.562 0.000" Properties=species:S:1:pos:R:3 pbc="T T T"
Zr -2.224 0.000 -1.474
Zr -3.254 5.636 -1.474
Zr -4.366 2.521 0.000
Zr -4.366 -2.521 -2.948
Zr -3.254 -5.636 -1.474
Zr -4.366 2.521 -2.948
Zr -6.508 0.000 -4.422
Zr -4.366 -2.521 0.000
Zr -1.112 1.926 -4.422
Zr -1.112 -1.926 -4.422
Bi -1.684 -2.916 -1.474
Bi -3.367 0.000 -4.422
Bi -1.684 2.916 -1.474
Bi -2.683 -4.646 -4.422
Bi -5.365 0.000 -1.474
Bi -2.683 4.646 -4.422
```

Record 12
Compound: Na2Nd4NCl9O
Source: Materials Project
Functional: PBE-GGA
Structure: relaxed

Summary:
Volume in Å³/cell: 841.5
Formation energy from the elements in eV per atom: -2.29

Structure (extended XYZ):
```
34
Lattice="-1.375 -8.114 -7.874 4.128 -5.267 4.706 -6.323 -4.305 5.541" Properties=species:S:1:pos:R:3 pbc="T T T"
O -5.126 -14.309 1.189
O 1.206 -5.441 -0.818
Cl -3.004 -9.692 2.352
Cl -1.241 -11.975 -3.841
Cl -1.718 -2.585 1.496
Cl -1.876 -9.273 5.761
Cl -1.695 -8.417 -3.391
Cl -2.321 -5.681 6.238
Cl 1.658 -12.529 -2.258
Cl -1.409 -12.490 3.412
Cl -1.893 -15.089 0.895
Cl -2.116 -5.186 -1.033
Cl -1.354 -11.439 -0.293
Cl 1.863 -6.566 2.315
Cl -0.565 -7.970 0.052
Cl -2.210 -6.208 2.704
Cl -5.649 -7.642 2.220
Cl 2.075 -10.074 0.185
Cl -5.224 -5.128 4.600
Cl -5.434 -11.127 0.052
Nd 0.106 -6.167 -2.713
Nd -3.123 -8.262 8.247
Nd -3.655 -11.615 5.035
Nd 0.352 -9.942 -2.136
Nd -3.916 -7.708 4.545
Nd -0.126 -4.994 1.082
Nd -3.438 -12.660 1.323
Nd -0.491 -9.473 -5.963
Na -0.896 -13.944 -1.788
Na -0.226 -10.037 2.008
Na -2.679 -3.727 4.172
Na -3.334 -7.640 0.380
N -4.773 -12.277 3.173
N 1.545 -3.395 1.155
```

Record 13
Compound: Lu4Zr3O12
Source: Materials Project
Functional: PBE-GGA
Structure: relaxed

Summary:
Volume in Å³/cell: 487.9
Formation energy from the elements in eV per atom: -3.99

Structure (extended XYZ):
```
38
Lattice="-4.531 1.204 -4.274 -0.822 -6.259 0.651 -5.950 3.920 10.497" Properties=species:S:1:pos:R:3 pbc="T T T"
Lu -3.055 -4.545 -0.096
Lu -6.792 -0.223 7.667
Lu -4.511 -0.912 -0.793
Lu -3.788 -2.202 2.452
Lu -8.248 3.410 6.970
Lu -4.193 0.394 5.423
Lu -7.109 -1.529 1.451
Lu -7.515 1.067 4.422
O -8.030 1.299 6.589
O -2.253 -0.479 -1.271
O -6.908 -2.427 7.500
O -3.273 -2.434 0.285
O -4.914 0.917 7.453
O -4.579 -3.354 6.516
O -4.299 -1.523 -2.887
O -3.994 -4.433 2.343
O -6.026 -2.676 2.956
O -9.411 -0.098 4.761
O -1.491 -5.303 1.317
O -4.094 -1.638 4.510
O -4.980 -0.601 1.387
O -7.209 0.503 2.364
O -7.003 0.388 9.761
O -7.309 3.298 4.531
O -1.891 -1.037 2.113
O -6.388 -2.052 -0.580
O -5.277 1.541 3.918
O -9.812 4.168 5.557
O -6.724 2.219 0.358
O -4.395 1.292 -0.626
O -9.050 -0.656 8.145
O -6.323 -0.534 5.487
Zr -5.998 -2.568 5.144
Zr -1.241 -1.582 0.183
Zr -4.494 2.914 7.870
Zr -10.062 0.447 6.691
Zr -6.809 -4.049 -0.996
Zr -5.304 1.433 1.730
```

Record 14
Compound: Cu2WS4
Source: Materials Project
Functional: PBE-GGA
Structure: relaxed

Summary:
Volume in Å³/cell: 169.6
Polymorph energy (0 for the lowest one) in meV per atom: 0.0
Piezoelectric modulus e_max in C/m²: 0.7
Formation energy from the elements in eV per atom: -0.75

Structure (extended XYZ):
```
7
Lattice="5.456 0.000 0.000 0.000 5.456 0.000 0.000 0.000 5.699" Properties=species:S:1:pos:R:3 pbc="T T T"
S 1.295 4.161 1.301
S 1.295 1.295 4.398
S 4.161 1.295 1.301
S 4.161 4.161 4.398
Cu 0.000 2.728 0.000
Cu 2.728 0.000 0.000
W 0.000 0.000 0.000
```